1.
DFT (GGA+U) results for LiCoSiO4 after structural relaxation.

The value obtained for the magnetic moment is 0.00 μB/f.u. The value obtained for the formation energy is -2.322 eV per atom. The volume is 99.7 Å³/f.u. The value obtained for the total energy is -276.63 eV/cell. The total energy after the MP2020 corrections comes out at -7.2130 eV per atom.

```
LiCoSiO4
1.0
-2.6629 4.6121 0.0000
0.0000 0.0000 24.3502
5.3258 0.0000 0.0000
O Si Li Co
24 6 6 6
Cartesian
2.6201 2.7987 9.0102
3.7340 0.8693 11.2810
0.0427 1.8131 21.1854
3.7342 0.8697 23.4571
2.7054 2.7988 3.1663
3.7770 0.9435 4.9528
-1.0714 3.7424 23.4571
-0.0430 1.8131 15.3388
-0.0426 1.8132 3.1663
2.6201 2.7989 21.1854
0.0427 1.8133 9.0102
-1.0711 3.7428 11.2811
2.7058 2.7989 15.3388
1.5488 0.9433 7.2238
1.1141 3.6687 7.2238
1.5487 0.9439 19.3983
3.7769 0.9434 17.1254
1.0709 3.7429 0.8942
-1.1142 3.6685 4.9528
1.5920 0.8691 0.8942
-1.1140 3.6687 17.1254
1.1141 3.6682 19.3983
1.0714 3.7423 13.0677
1.5914 0.8698 13.0677
-1.3315 2.3060 16.2332
1.3314 2.3060 20.2913
1.3314 2.3060 8.1168
-1.3315 2.3060 4.0588
2.6629 0.0000 12.1750
2.6629 0.0000 0.0004
2.6629 4.6120 8.1169
-2.6629 4.6121 16.2330
0.0000 0.0000 20.2918
0.0000 0.0000 12.1752
0.0000 0.0000 4.0586
0.0000 0.0000 0.0001
1.3314 2.3060 2.0297
2.6629 0.0000 6.0880
-1.3315 2.3060 10.1459
-1.3315 2.3061 22.3209
1.3314 2.3060 14.2040
2.6629 0.0000 18.2622
```

2.
DFT (GGA+U) results for Li3Co2Si3O10 after structural relaxation.

The value obtained for the magnetic moment is 7.00 μB/f.u. The space group is No. 9. The value obtained for the formation energy is -2.523 eV per atom. The volume is 213.6 Å³/f.u. The value obtained for the total energy is -241.93 eV/cell. The total energy after the MP2020 corrections comes out at -7.2839 eV per atom.

```
Li3Co2Si3O10
1.0
2.6355 -4.7027 -0.2583
-5.3918 -0.0463 0.2589
1.1841 -0.6840 -16.8462
Li O Co Si
6 20 4 6
Cartesian
-2.3376 -1.0414 -3.6251
0.7566 -4.4767 -13.2811
0.9193 -2.8404 -4.8605
-2.4187 -2.5435 -12.0467
-3.6356 -1.6822 -0.6914
-2.5093 -1.1006 -9.1123
-2.4161 -3.0754 -5.1822
0.5430 -3.0313 -1.2650
-0.9650 -3.8944 -3.1894
-0.6905 -1.4627 -13.6085
2.6721 -4.3924 -12.1573
0.7386 -4.0581 -9.6862
-3.3937 -1.0349 -13.1683
0.7350 -2.3230 -11.6145
-0.1899 -2.5024 -6.5711
0.3457 -1.2043 -16.0364
-1.8350 -4.3123 -0.7725
-4.1338 -0.9446 -4.7459
-2.5955 -1.4760 -7.2322
-0.0858 -3.6824 -14.9903
1.7934 -4.5429 -3.7337
-1.8916 -1.7887 -1.7309
0.6734 -1.3572 -9.1982
-1.5489 -2.5608 -10.1504
-2.1315 -4.1043 -7.6116
-2.1681 -2.1034 -15.6569
0.9649 -1.1696 -7.1629
1.6453 -4.6825 -1.6129
-0.6671 -5.3471 -15.5858
2.7178 -4.1961 -10.0396
-1.0142 -3.1784 -1.6666
-0.6329 -2.1421 -15.1257
-2.1668 -4.4044 -4.2046
-1.8000 -2.7892 -6.7018
0.0931 -2.6340 -10.0889
0.5865 -1.0247 -12.6285
```

3.
DFT (GGA+U) results for LiCoSiO4 after structural relaxation.

The value obtained for the magnetic moment is 4.00 μB/f.u. The space group is No. 146. The value obtained for the formation energy is -2.353 eV per atom. The volume is 85.2 Å³/f.u. The value obtained for the total energy is -277.94 eV/cell. The total energy after the MP2020 corrections comes out at -7.2441 eV per atom.

```
LiCoSiO4
1.0
-2.5414 5.5719 -5.9726
-6.9477 -2.5854 4.2686
5.0214 4.2004 5.5062
O Co Li Si
24 6 6 6
Cartesian
-4.7325 -1.5731 3.4287
2.2071 5.2703 2.1493
-2.5614 3.3454 7.7826
-5.0528 3.6756 3.4776
-0.1416 3.8215 5.9156
-1.8683 4.2829 -0.5645
-1.2893 5.6115 4.2407
-4.7232 3.6989 0.8203
0.8188 3.0982 0.2077
-3.8442 1.5920 2.2000
0.2473 8.8151 0.7443
-7.8203 4.1418 0.0979
3.4438 3.4019 3.6324
-2.8801 1.2578 -0.6598
-3.3462 6.2976 0.5269
-0.0465 3.3891 3.2656
-6.4806 2.0089 1.8934
-4.3499 3.5773 -2.3553
-2.2734 3.9014 -4.0296
-1.2560 6.8426 -1.1043
-2.3567 3.1796 4.5825
-0.8316 5.8482 1.3303
-3.4927 0.2178 5.0021
-0.9594 0.5033 3.0230
-5.0474 5.5170 0.5848
-4.0584 3.7632 5.0620
-0.3579 3.3900 -1.2211
0.5413 1.6117 3.1970
-3.5035 0.3391 0.8496
-0.9267 6.8584 2.8913
-2.5841 1.4092 3.7156
-0.8370 2.5795 7.2669
-7.4272 2.2278 0.1880
0.4971 4.4119 1.6604
-3.4880 3.1470 -0.6314
0.4922 7.6950 -0.8405
3.0255 4.9934 3.5531
-1.8562 5.8145 0.0383
-0.9446 4.0266 4.4888
-3.6950 4.5530 -3.5113
-4.9179 -0.5584 4.7133
-5.0208 2.7409 2.1294
```

4.
DFT (GGA+U) results for LiCoSiO4 after structural relaxation.

The value obtained for the magnetic moment is 4.00 μB/f.u. The space group is No. 14. The value obtained for the formation energy is -2.328 eV per atom. The volume is 87.0 Å³/f.u. The value obtained for the total energy is -184.58 eV/cell. The total energy after the MP2020 corrections comes out at -7.2187 eV per atom.

```
LiCoSiO4
1.0
-1.0170 1.4712 9.9232
4.4224 -2.3794 0.8060
7.6522 3.5627 0.2561
Co Li O Si
4 4 16 4
Cartesian
9.8713 3.0955 8.9910
1.1863 -0.4409 1.9942
6.1949 1.0975 7.4021
4.8627 1.5570 3.5831
7.8518 3.9826 6.7764
7.2547 0.1311 2.1634
3.8029 2.5235 8.8218
3.2058 -1.3281 4.2088
0.8011 0.6938 8.4320
4.7799 2.2544 7.0711
6.2777 0.4001 3.9141
1.7993 0.8022 0.7451
3.2596 0.7376 4.0747
0.6724 0.4196 3.5950
7.7980 1.9170 6.9105
7.3415 2.1488 1.7066
6.3553 0.7485 9.2514
5.8057 -0.4694 6.4670
5.2518 3.1240 4.5182
4.7023 1.9060 1.7338
10.2564 1.9607 2.5532
3.7161 0.5057 9.2786
9.2583 1.8523 10.2401
10.3852 2.2349 7.3902
5.1140 -0.1630 9.8428
1.7978 1.4986 4.1338
9.2598 1.1559 6.8514
5.9436 2.8175 1.1424
```

5.
DFT (GGA+U) results for Li2CoSi2O6 after structural relaxation.

The value obtained for the magnetic moment is 0.00 μB/f.u. The value obtained for the formation energy is -2.648 eV per atom. The volume is 126.8 Å³/f.u. The value obtained for the total energy is -299.32 eV/cell. The total energy after the MP2020 corrections comes out at -7.3263 eV per atom.

```
Li2CoSi2O6
1.0
0.0941 0.0001 5.4822
9.7074 0.0003 0.3616
0.0002 9.5399 0.0003
O Co Li Si
24 4 8 8
Cartesian
3.1666 5.7633 2.3496
7.9746 5.7184 4.9123
4.7903 1.0287 4.5669
9.3219 5.8064 1.7924
6.6348 3.3782 3.4947
5.0112 8.1837 1.2771
6.6757 5.4539 1.8010
5.0113 3.4138 1.2770
9.3218 1.0363 1.7925
2.1797 0.6563 4.8523
0.4799 8.1914 4.0518
4.7906 5.7988 4.5670
7.9746 0.9487 4.9124
2.1802 5.4260 4.8528
6.6353 8.1483 3.4945
1.8273 3.3332 0.9316
3.1260 7.8389 4.0432
3.1259 3.0689 4.0430
3.1667 0.9932 2.3492
0.4798 3.4216 4.0514
1.8273 8.1032 0.9319
7.6219 3.0412 0.9916
6.6756 0.6840 1.8008
7.6215 7.8109 0.9912
8.3473 8.5991 4.5187
1.4545 1.4442 1.3258
8.3469 3.8291 4.5183
1.4545 6.2140 1.3257
3.2742 8.5737 2.0581
3.2741 3.8039 2.0580
4.7448 6.1918 1.0660
5.0570 8.5769 4.7782
4.7447 1.4219 1.0658
6.5277 6.1889 3.7860
5.0569 3.8070 4.7781
6.5276 1.4188 3.7860
6.4393 3.7877 1.9272
8.0091 6.1595 0.9801
8.0092 1.3897 0.9802
3.3625 6.1727 3.9170
1.7925 3.7747 4.8638
3.3623 1.4027 3.9167
1.7926 8.5447 4.8641
6.4393 8.5577 1.9271
```

6.
DFT (GGA+U) results for LiCoSiO4 after structural relaxation.

The value obtained for the magnetic moment is 0.00 μB/f.u. The space group is No. 14. The value obtained for the formation energy is -2.243 eV per atom. The volume is 68.3 Å³/f.u. The value obtained for the total energy is -182.20 eV/cell. The total energy after the MP2020 corrections comes out at -7.1339 eV per atom.

```
LiCoSiO4
1.0
8.9114 0.0000 0.0000
0.0000 4.8609 0.0000
0.0000 4.6710 6.3080
O Si Co Li
16 4 4 4
Cartesian
5.6721 1.8886 1.6385
1.2164 5.3078 1.5154
7.8877 6.3104 2.9685
1.0237 3.2215 3.3394
3.2393 7.6433 4.6694
1.1561 5.7275 4.6815
3.2996 3.3920 1.5276
7.8764 1.5104 0.2698
7.6950 4.2241 4.7925
3.4207 5.6860 2.8842
5.6118 6.1399 4.7804
1.0350 8.0215 6.0381
3.4320 0.8860 0.1855
5.4794 8.6459 6.1225
7.7553 3.8044 1.6264
5.4907 3.8460 3.4238
6.0444 4.5581 4.7972
7.3227 2.2225 1.6432
1.5887 7.3094 4.6648
2.8670 4.9738 1.5108
0.0000 0.0000 0.0000
4.4557 2.4304 0.0000
4.4557 2.3355 3.1540
0.0000 4.7660 3.1540
3.0038 4.8699 4.6692
1.4519 2.5344 1.5152
5.9076 4.6620 1.6387
7.4595 6.9975 4.7927
```

7.
DFT (GGA+U) results for LiCoSiO4 after structural relaxation.

The value obtained for the magnetic moment is 4.00 μB/f.u. The space group is No. 14. The value obtained for the formation energy is -2.312 eV per atom. The volume is 86.9 Å³/f.u. The value obtained for the total energy is -552.37 eV/cell. The total energy after the MP2020 corrections comes out at -7.2024 eV per atom.

```
LiCoSiO4
1.0
-0.1086 -7.0806 3.7502
2.0784 -3.9490 -7.3958
16.6936 -2.4007 -4.0493
Co O Li Si
12 48 12 12
Cartesian
10.6357 -5.4592 -5.3095
3.2903 -8.7963 -4.0012
15.3731 -4.6339 -3.6937
11.6330 -10.2695 -5.8813
12.4507 -8.0547 -1.3149
6.2127 -5.3756 -6.3800
7.0304 -3.1608 -1.8136
14.5508 -7.1474 -8.1020
8.0277 -7.9710 -2.3853
2.2941 -3.9203 -3.4642
4.1126 -6.2828 0.4071
16.3694 -9.5100 -4.2307
3.2774 -4.8738 -0.4959
7.4248 -6.0960 -5.1927
5.6788 -6.9770 -0.4195
14.0791 -3.3060 -3.5173
11.7797 -9.3246 -4.2463
11.5706 -9.5729 -0.6675
10.6565 -5.1107 -7.1204
16.7011 -10.7460 -2.8904
2.8687 -7.6404 0.3204
14.6623 -9.8415 -4.9624
9.8391 -10.0993 -6.3405
1.9623 -2.6843 -4.8045
15.2283 -5.4521 -5.3959
10.2575 -7.2539 -5.0446
6.3199 -8.3492 -3.0924
8.8243 -3.3309 -1.3544
4.5843 -10.1243 -4.1775
0.4825 -1.8009 0.4956
7.0928 -3.8574 -7.0274
6.8856 -9.4310 -5.4694
18.1809 -11.6294 -8.1905
9.2724 -9.0007 -3.3400
16.3798 -7.8160 -3.5016
11.9652 -12.0914 -5.6521
12.3435 -5.0811 -4.6025
12.9560 -9.7006 -7.0624
17.6261 -9.7511 -5.6030
8.0069 -8.3196 -0.5745
15.3860 -8.5565 -7.1990
4.0012 -3.5888 -2.7324
6.6983 -1.3389 -2.0427
5.7074 -3.7296 -0.6325
15.2235 -11.2135 -7.1857
11.2386 -7.3342 -2.5022
3.6689 -7.5916 -5.3750
14.0224 -8.3860 -2.3336
2.2836 -5.6143 -4.1933
8.4059 -6.1764 -2.6503
3.4351 -7.9781 -2.2990
3.4399 -2.2168 -0.5092
15.7948 -5.7899 -8.0153
11.7778 -3.9993 -2.2255
1.0373 -3.6791 -2.0919
14.9945 -5.8387 -2.3199
6.8838 -4.1057 -3.4486
9.3911 -4.4296 -4.3549
12.9846 -6.4532 -7.2754
4.6410 -5.0443 -5.3613
5.1401 -7.1633 -2.2302
10.1750 -5.2702 -1.6714
17.3043 -9.0868 -7.6110
1.3591 -4.3435 -0.0839
13.4654 -9.7661 -3.5120
16.7882 -12.4239 -6.4256
1.8752 -1.0064 -1.2693
8.4884 -8.1601 -6.0235
13.5233 -6.2670 -5.4647
9.7541 -2.4034 -3.7719
5.1980 -3.6642 -4.1829
8.9093 -11.0268 -3.9230
8.0043 -5.2089 -3.9264
6.9968 -7.4693 0.4268
6.1769 -9.7060 -4.0072
10.6591 -8.2214 -3.7684
11.6667 -5.9609 -8.1217
2.2946 -8.1756 -1.1322
4.1232 -3.5975 -1.0944
16.3688 -5.2546 -6.5626
3.3010 -5.9891 -5.4464
14.5402 -9.8328 -6.6005
12.4865 -3.7242 -3.6877
15.3624 -7.4411 -2.2485
```

8.
DFT (GGA+U) results for Li3Co2Si3O10 after structural relaxation.

The value obtained for the magnetic moment is 7.00 μB/f.u. The space group is No. 9. The value obtained for the formation energy is -2.511 eV per atom. The volume is 218.3 Å³/f.u. The value obtained for the total energy is -241.52 eV/cell. The total energy after the MP2020 corrections comes out at -7.2725 eV per atom.

```
Li3Co2Si3O10
1.0
-3.0217 -0.2733 -4.6029
1.7143 -2.9440 -4.3343
-8.1353 -13.9672 4.5666
Co Si O Li
4 6 20 6
Cartesian
-7.2311 -13.4305 3.3959
-7.1538 -8.3478 -1.0828
0.7100 -3.5050 -3.1508
-3.9735 -5.9901 1.0667
-2.0111 -2.9108 -4.7391
-4.2878 -6.6626 -1.9418
-5.1123 -10.4394 -2.4010
-7.3854 -14.1932 0.3965
-4.9609 -13.0961 -0.9239
-4.4835 -4.0879 -3.4108
-6.1775 -13.0473 0.2200
-5.5335 -9.5529 -1.0935
-3.4542 -10.4956 -2.5112
-1.1502 -2.7473 -3.3589
-3.9150 -5.0457 -2.1657
-5.8977 -6.8396 -2.1033
-5.5823 -12.0530 -2.0813
-6.6955 -15.6671 0.3655
-5.8117 -10.1151 -3.8106
-3.1745 -4.1335 -4.4588
-6.6173 -11.5657 2.6005
-2.6287 -4.5375 0.3127
-8.0951 -13.8516 1.8182
-3.4272 -7.4816 -3.0729
-3.2048 -5.5957 -7.1930
-8.4295 -13.9382 -0.8426
-6.5802 -12.9696 -4.8704
-1.2539 -3.4079 -6.0661
-2.9014 -1.5299 -4.9939
-3.7536 -7.0225 -0.4496
-4.2621 -8.7673 0.2624
-1.6942 -4.6343 -1.5337
-1.2492 -1.1889 -2.0807
-2.3848 -6.1907 -4.2282
-7.0214 -10.9076 0.6781
-7.7640 -12.4348 -2.0193
```

- Among the records above, which one has the highest total energy?
  number 6

- total energy after the MP2020 corrections of number 8 (Li3Co2Si3O10)?
  -7.2725 eV per atom

- Among the records above, which one has the lowest total energy after the MP2020 corrections?
  Li2CoSi2O6

Please write out number 1 again, unchanged.
DFT (GGA+U) results for LiCoSiO4 after structural relaxation.

The value obtained for the magnetic moment is 0.00 μB/f.u. The value obtained for the formation energy is -2.322 eV per atom. The volume is 99.7 Å³/f.u. The value obtained for the total energy is -276.63 eV/cell. The total energy after the MP2020 corrections comes out at -7.2130 eV per atom.

```
LiCoSiO4
1.0
-2.6629 4.6121 0.0000
0.0000 0.0000 24.3502
5.3258 0.0000 0.0000
O Si Li Co
24 6 6 6
Cartesian
2.6201 2.7987 9.0102
3.7340 0.8693 11.2810
0.0427 1.8131 21.1854
3.7342 0.8697 23.4571
2.7054 2.7988 3.1663
3.7770 0.9435 4.9528
-1.0714 3.7424 23.4571
-0.0430 1.8131 15.3388
-0.0426 1.8132 3.1663
2.6201 2.7989 21.1854
0.0427 1.8133 9.0102
-1.0711 3.7428 11.2811
2.7058 2.7989 15.3388
1.5488 0.9433 7.2238
1.1141 3.6687 7.2238
1.5487 0.9439 19.3983
3.7769 0.9434 17.1254
1.0709 3.7429 0.8942
-1.1142 3.6685 4.9528
1.5920 0.8691 0.8942
-1.1140 3.6687 17.1254
1.1141 3.6682 19.3983
1.0714 3.7423 13.0677
1.5914 0.8698 13.0677
-1.3315 2.3060 16.2332
1.3314 2.3060 20.2913
1.3314 2.3060 8.1168
-1.3315 2.3060 4.0588
2.6629 0.0000 12.1750
2.6629 0.0000 0.0004
2.6629 4.6120 8.1169
-2.6629 4.6121 16.2330
0.0000 0.0000 20.2918
0.0000 0.0000 12.1752
0.0000 0.0000 4.0586
0.0000 0.0000 0.0001
1.3314 2.3060 2.0297
2.6629 0.0000 6.0880
-1.3315 2.3060 10.1459
-1.3315 2.3061 22.3209
1.3314 2.3060 14.2040
2.6629 0.0000 18.2622
```